# 1
The following is a PBE+U calculation of a relaxed structure of MoPO5, from the Materials Project. Values from VASP.

```
&SYSTEM
  ibrav = 0, nat = 28, ntyp = 3
/
ATOMIC_SPECIES
O 16.00 O.upf
P 30.97 P.upf
Mo 95.94 Mo.upf
ATOMIC_POSITIONS angstrom
O 1.7076 4.2322 -5.7182
O -3.6671 4.0634 -3.8835
O 0.0603 0.6798 -2.4243
P -0.9882 5.0421 -0.7369
O -2.5837 1.6653 -2.5657
O 1.6531 5.8357 -3.7777
O -3.3663 2.6548 -0.1338
Mo -0.1727 3.4907 -5.8646
P -2.6025 1.5860 -7.2353
Mo -3.4180 3.1375 -2.1076
O -0.0091 5.9937 -1.4475
O 0.0763 2.5647 -4.0887
O -3.5816 0.6344 -6.5247
O -1.0070 4.9628 -5.4065
O -1.7972 2.3085 -6.1326
Mo 1.9121 6.4578 -1.8625
O -1.7935 4.3196 -1.8396
O -6.2161 1.6961 -6.5959
O -0.2244 3.9733 -7.8384
Mo -5.5028 0.1703 -6.1097
O -5.2983 2.3960 -2.2540
O -2.0020 5.7861 -7.8220
O 2.6254 4.9321 -1.3763
O -1.5887 0.8421 -0.1502
P 2.5803 5.0226 -4.7188
P -6.1710 1.6055 -3.2534
O -3.6510 5.9483 -5.5479
O -5.2438 0.7924 -4.1945
CELL_PARAMETERS angstrom
-7.1334 0.0000 0.0000
3.5645 6.6867 0.0000
-0.0218 -0.0586 -7.9722
```

## Properties
DFT formation energy = -16.4 eV/f.u.
magnetic moment = 0.14 μB per atom

# 2
The following is a PBE+U calculation of a relaxed structure of Fe3O2F2, from the Materials Project. Values from VASP.

```
&SYSTEM
  ibrav = 0, nat = 14, ntyp = 3
/
ATOMIC_SPECIES
F 19.00 F.upf
Fe 55.84 Fe.upf
O 16.00 O.upf
ATOMIC_POSITIONS angstrom
F -5.1003 0.3058 -1.6541
Fe -4.0984 4.0285 1.9653
O -0.9001 1.6782 0.5567
Fe -5.2509 3.6936 -1.0080
F -2.0435 4.7282 1.1972
F -2.8098 2.4070 3.0064
Fe -2.6593 -0.9807 2.3603
Fe -4.4372 1.4651 -3.5291
O -7.0100 1.0347 0.7956
Fe -5.1491 1.0852 1.4905
Fe -2.7609 1.6277 -0.1381
O -3.5504 -0.0212 0.8668
F -5.8666 -2.0153 0.1551
O -4.3596 2.7340 0.4855
CELL_PARAMETERS angstrom
-3.1862 -4.0969 2.3027
-0.2867 5.3448 2.5790
-4.4372 1.4650 -3.5294
```

## Properties
DFT formation energy = -13.4 eV/f.u.
magnetic moment = 0.00 μB per atom

# 3
The following is a PBE+U calculation of a relaxed structure of Na5YW4O16, from the Materials Project. Values from VASP.

```
&SYSTEM
  ibrav = 0, nat = 52, ntyp = 4
/
ATOMIC_SPECIES
O 16.00 O.upf
Na 22.99 Na.upf
W 183.84 W.upf
Y 88.91 Y.upf
ATOMIC_POSITIONS angstrom
O 1.2863 -3.9527 -3.1765
Na -4.8776 -3.3860 4.7836
O -2.5127 -2.8811 -1.9323
O -1.9018 -8.7378 0.4985
O -5.8387 -2.3768 -2.4197
O -3.2238 -4.4266 6.1389
O -2.8823 -7.0688 -1.9036
O -4.1327 -1.1146 1.7486
O -1.0356 -5.9073 -0.0045
O -6.9264 -2.2934 4.9233
O 3.0208 -3.9701 6.1503
W 2.3806 -5.3918 5.1435
O 2.7633 -6.9789 -1.2487
W -2.5384 -1.4137 2.5220
W -6.1780 -3.8842 -3.4074
Na -6.1815 -0.0220 1.8883
O 0.3380 -1.9655 -1.3199
O -4.9248 -4.9870 2.9753
W -3.4256 -5.2926 1.9976
Na -4.4803 -2.3206 -0.3826
Na 2.9667 -4.8782 -0.0172
Na 4.5268 -7.6832 2.7447
Na 0.2019 -6.1644 2.1215
O -7.7380 -3.7935 -4.4088
Na -5.1233 -6.8562 -1.0272
O -0.7906 -5.7878 -4.4343
O 0.8829 -4.9947 4.1626
O -0.0874 -7.8946 -1.8611
Na 1.3143 -6.2751 -3.0489
O 3.6044 -5.9092 3.9335
W -8.0978 -1.7203 -0.6253
Na -2.7161 -4.9819 -3.1638
O -3.7649 -6.8000 1.0100
O 0.2524 -4.1086 6.7976
Y -1.2048 -4.0912 4.9006
O -2.7985 -2.8802 3.5919
O 3.8457 -8.8529 0.7036
Na -1.0637 -3.5849 -0.1322
O -8.2605 -0.5278 3.0800
O -1.8656 -5.3833 2.9991
O 0.0179 -2.4464 3.6669
O -3.3258 -3.9617 0.7942
O -4.6788 -4.1898 -4.3851
O -1.2226 -1.6448 1.2337
W -1.5058 -7.4565 -0.7845
Y 0.0000 0.0000 0.0000
O 1.1243 -7.9383 0.9327
O 1.0412 -4.0723 1.2532
O -6.7214 -2.1080 0.4938
W 1.3337 -2.6776 2.3786
W 2.3480 -8.4557 -0.2773
O -6.2778 -5.2151 -2.2039
CELL_PARAMETERS angstrom
1.4554 -5.7688 -8.0817
4.4780 -3.9875 8.0472
-9.8543 0.6832 1.7713
```

## Properties
DFT formation energy = -62.5 eV/f.u.
magnetic moment = 0.00 μB per atom

# 4
The following is a PBE+U calculation of a relaxed structure of MgV12Zn6O24, from the Materials Project. Values from VASP.

```
&SYSTEM
  ibrav = 0, nat = 43, ntyp = 4
/
ATOMIC_SPECIES
V 50.94 V.upf
O 16.00 O.upf
Zn 65.41 Zn.upf
Mg 24.30 Mg.upf
ATOMIC_POSITIONS angstrom
V -5.8873 14.2462 7.4312
O -6.7293 12.4230 10.3563
Zn -10.2237 11.7080 9.8914
O -3.9535 7.1644 5.0791
O -7.4866 14.9328 11.9452
V -6.3395 9.0306 6.9543
V -6.8721 3.6221 6.4123
O -7.7056 5.5144 5.8792
V -6.9728 11.5891 8.4534
O -3.2863 4.3374 3.4444
Mg -9.6746 4.7582 6.3778
Zn -3.7443 11.4464 6.9958
V -10.4152 15.2786 9.9077
O -7.0430 2.9464 4.3978
O -8.8126 10.8173 8.8281
O -2.5328 1.8989 1.9822
O -7.2352 10.8340 6.5504
O -4.2900 1.8627 4.4850
Zn -4.5166 1.0734 2.4455
V -4.6346 9.0965 4.5186
V -3.5660 7.9454 6.9874
O -8.2113 8.5068 7.5064
V -5.1294 3.6979 3.9312
O -5.1008 12.4568 8.0922
O -5.3753 3.0339 1.9675
Zn -8.8245 6.8593 7.0254
O -5.7639 14.7373 9.3943
O -4.9310 4.3950 5.8883
O -5.5251 7.1516 7.3431
V -7.6359 14.1818 9.9471
V -2.3345 2.5719 3.9756
O -6.5205 8.2023 5.0545
O -4.4770 9.6827 6.4769
O -5.9981 5.5327 3.4283
O -6.2125 9.7736 8.8692
V -11.4404 17.0292 12.9060
O -8.4463 16.0277 9.4981
Zn -1.4563 0.5499 0.8851
O -10.1443 16.0021 11.8176
O -9.4863 13.5705 10.4611
Zn -2.5411 6.1864 3.9946
V -5.7653 6.3629 5.4598
O -7.6802 13.4766 7.9793
CELL_PARAMETERS angstrom
-5.6283 2.2194 -0.0846
-3.4492 -0.1262 4.9673
-3.6671 15.8463 9.0140
```

## Properties
DFT formation energy = -97.0 eV/f.u.
magnetic moment = 0.60 μB per atom

# 5
The following is a PBE+U calculation of a relaxed structure of SmFeO3, from the Materials Project. Values from VASP.

```
&SYSTEM
  ibrav = 0, nat = 5, ntyp = 3
/
ATOMIC_SPECIES
Sm 150.36 Sm.upf
O 16.00 O.upf
Fe 55.84 Fe.upf
ATOMIC_POSITIONS angstrom
Sm 1.9546 1.9546 1.9546
O 0.0000 0.0000 1.9546
Fe 0.0000 0.0000 0.0000
O 1.9546 0.0000 0.0000
O 0.0000 1.9546 0.0000
CELL_PARAMETERS angstrom
3.9091 0.0000 0.0000
0.0000 3.9091 0.0000
0.0000 0.0000 3.9091
```

## Properties
DFT formation energy = -12.9 eV/f.u.
magnetic moment = 1.00 μB per atom